(1)
Material: MgTiFe4O8
Method: DFT, PBE with a Hubbard U
State: relaxed

Output
**Raw total energy**: -195.0 eV per cell
**Spin magnetization**: 2.0 μB per formula unit
**Formation energy**: -2077 meV per atom

a b c (Å): 10.2998 5.9992 6.9949
angles (deg): 90.00 132.66 90.00
Last column: nearest neighbours and their distance in Å.
Space group C2/m (No. 12)
Inequivalent atoms, fractional coordinates:
Mg 0.0000 0.0000 0.0000 (multiplicity 2)  6 O 2.00-2.09
Ti 0.0000 0.5000 0.0000 (multiplicity 2)  6 O 1.96-2.00
Fe 0.2432 0.5000 0.5075 (multiplicity 4)  6 O 2.08-2.31
Fe 0.2500 0.2500 0.0000 (multiplicity 4)  6 O 2.00-2.18
O 0.0340 0.2595 0.2293 (multiplicity 8)  1 Ti 2.00, 1 Mg 2.09, 2 Fe 2.18-2.20
O 0.2418 0.5000 0.8028 (multiplicity 4)  3 Fe 2.00-2.08, 1 Mg 2.00
O 0.2457 0.0000 0.7952 (multiplicity 4)  1 Ti 1.96, 2 Fe 2.05

(2)
Material: MgTi2Fe4O10
Method: DFT, PBE with a Hubbard U
State: relaxed

Output
**Raw total energy**: -125.3 eV per cell
**Spin magnetization**: 18.0 μB per formula unit
**Formation energy**: -2379 meV per atom

a b c (Å): 5.1845 5.6851 7.8653
angles (deg): 110.25 90.97 116.66
Last column: nearest neighbours and their distance in Å.
Space group P1 (No. 1)
Inequivalent atoms, fractional coordinates:
Mg 0.0000 0.0000 0.0000 (multiplicity 1)  6 O 2.04-2.14
Ti 0.7757 0.5887 0.6004 (multiplicity 1)  4 O 1.88-1.97
Ti 0.8052 0.5504 0.1384 (multiplicity 1)  3 O 1.81-1.93
Fe 0.1708 0.3252 0.4010 (multiplicity 1)  5 O 2.03-2.20
Fe 0.2067 0.4235 0.8630 (multiplicity 1)  5 O 1.96-2.14
Fe 0.4454 0.8381 0.2969 (multiplicity 1)  4 O 1.94-2.06
Fe 0.4516 0.9224 0.7456 (multiplicity 1)  4 O 2.00-2.23
O 0.0660 0.4851 0.6581 (multiplicity 1)  1 Ti 1.94, 2 Fe 1.96-2.10
O 0.1190 0.0109 0.7519 (multiplicity 1)  2 Fe 2.00-2.02, 1 Mg 2.07, 1 Ti 2.11
O 0.1867 0.7656 0.0627 (multiplicity 1)  1 Ti 2.03, 2 Fe 2.06-2.08, 1 Mg 2.13
O 0.3862 0.4137 0.1153 (multiplicity 1)  1 Ti 1.93, 1 Mg 2.14
O 0.4940 0.2123 0.4465 (multiplicity 1)  1 Ti 1.88, 1 Fe 1.94
O 0.5603 0.7382 0.5004 (multiplicity 1)  1 Ti 1.97, 3 Fe 2.04-2.15
O 0.6227 0.6213 0.8200 (multiplicity 1)  1 Ti 1.90, 1 Fe 2.04, 1 Mg 2.12
O 0.7999 0.2299 0.9490 (multiplicity 1)  1 Ti 1.90, 1 Fe 2.00, 1 Mg 2.12
O 0.8332 0.9427 0.2237 (multiplicity 1)  2 Fe 1.98-2.03, 1 Ti 2.03, 1 Mg 2.04
O 0.9980 0.5878 0.3476 (multiplicity 1)  1 Ti 1.81

(3)
Material: Mg14TiFeO16
Method: DFT, PBE with a Hubbard U
State: relaxed

Output
**Raw total energy**: -197.1 eV per cell
**Spin magnetization**: 6.0 μB per formula unit
**Formation energy**: -2888 meV per atom

a b c (Å): 8.6003 8.6003 4.2533
angles (deg): 90.00 90.00 90.00
Last column: nearest neighbours and their distance in Å.
Space group P4/mmm (No. 123)
Inequivalent atoms, fractional coordinates:
Mg 0.0000 0.2522 0.0000 (multiplicity 4)  6 O 2.13-2.17
Mg 0.0000 0.5000 0.5000 (multiplicity 2)  6 O 2.10-2.13
Mg 0.2473 0.5000 0.0000 (multiplicity 4)  6 O 2.13-2.17
Mg 0.2489 0.2489 0.5000 (multiplicity 4)  6 O 2.13-2.16
Ti 0.5000 0.5000 0.5000 (multiplicity 1)  6 O 2.13-2.20
Fe 0.0000 0.0000 0.5000 (multiplicity 1)  6 O 2.13-2.19
O 0.0000 0.0000 0.0000 (multiplicity 1)  2 Fe 2.13, 4 Mg 2.17
O 0.0000 0.2552 0.5000 (multiplicity 4)  5 Mg 2.11-2.14, 1 Fe 2.19
O 0.0000 0.5000 0.0000 (multiplicity 2)  6 Mg 2.13
O 0.2442 0.5000 0.5000 (multiplicity 4)  5 Mg 2.10-2.16, 1 Ti 2.20
O 0.2499 0.2499 0.0000 (multiplicity 4)  6 Mg 2.13-2.15
O 0.5000 0.5000 0.0000 (multiplicity 1)  2 Ti 2.13, 4 Mg 2.17

(4)
Material: MgTiV4FeO12
Method: DFT, PBE with a Hubbard U
State: relaxed

Output
**Raw total energy**: -288.7 eV per cell
**Spin magnetization**: 8.0 μB per formula unit
**Formation energy**: -2526 meV per atom

a b c (Å): 10.8228 8.5836 5.8139
angles (deg): 90.00 111.02 90.00
Last column: nearest neighbours and their distance in Å.
Space group C2 (No. 5)
Inequivalent atoms, fractional coordinates:
Mg 0.0000 0.0000 0.0000 (multiplicity 2)  4 O 2.02-2.03
Ti 0.0000 0.6242 0.0000 (multiplicity 2)  2 O 1.81
V 0.2196 0.1123 0.5391 (multiplicity 4)  4 O 1.71-1.82
V 0.2235 0.3125 0.0623 (multiplicity 4)  4 O 1.88-2.02
Fe 0.0000 0.8001 0.5000 (multiplicity 2)  6 O 2.13-2.18
O 0.0883 0.8224 0.8904 (multiplicity 4)  1 V 1.96, 1 Mg 2.02, 1 Fe 2.13, 1 Ti 2.16
O 0.1090 0.6374 0.3704 (multiplicity 4)  1 V 1.75
O 0.1265 0.4977 0.9666 (multiplicity 4)  1 Ti 1.81, 1 V 1.88
O 0.1402 0.1506 0.2106 (multiplicity 4)  2 V 1.82-2.01, 1 Mg 2.03
O 0.1559 0.2151 0.7237 (multiplicity 4)  1 V 1.71
O 0.1898 0.9159 0.5706 (multiplicity 4)  1 V 1.74

(5)
Material: MgTiV4FeO12
Method: DFT, PBE with a Hubbard U
State: relaxed

Output
**Raw total energy**: -288.8 eV per cell
**Spin magnetization**: 8.0 μB per formula unit
**Formation energy**: -2527 meV per atom

a b c (Å): 11.2726 8.8169 5.4616
angles (deg): 90.00 113.34 90.00
Last column: nearest neighbours and their distance in Å.
Space group C2 (No. 5)
Inequivalent atoms, fractional coordinates:
Mg 0.0000 0.0000 0.0000 (multiplicity 2)  4 O 2.06-2.15
Ti 0.0000 0.1996 0.5000 (multiplicity 2)  6 O 1.93-2.04
V 0.2114 0.6877 0.9936 (multiplicity 4)  4 O 1.73-1.78
V 0.2255 0.8944 0.5339 (multiplicity 4)  4 O 1.89-2.09
Fe 0.0000 0.3858 0.0000 (multiplicity 2)  4 O 2.07-2.13
O 0.0952 0.0437 0.4014 (multiplicity 4)  1 V 1.89, 1 Ti 1.95, 1 Mg 2.06
O 0.0979 0.3518 0.4055 (multiplicity 4)  1 V 1.92, 1 Ti 1.93, 1 Fe 2.07
O 0.1171 0.1908 0.8953 (multiplicity 4)  1 V 1.78
O 0.1502 0.8312 0.1321 (multiplicity 4)  1 V 1.75
O 0.1558 0.7188 0.6541 (multiplicity 4)  1 V 1.73
O 0.1743 0.5098 0.0842 (multiplicity 4)  1 V 1.74

(6)
Material: MgV3FeO8
Method: DFT, PBE with a Hubbard U
State: relaxed

Output
**Raw total energy**: -93.3 eV per cell
**Spin magnetization**: 7.0 μB per formula unit
**Formation energy**: -2252 meV per atom

a b c (Å): 5.4822 5.6976 6.7031
angles (deg): 87.62 88.21 87.32
Last column: nearest neighbours and their distance in Å.
Space group P1 (No. 1)
Inequivalent atoms, fractional coordinates:
Mg 0.0000 0.0000 0.0000 (multiplicity 1)  4 O 1.97-2.04
V 0.0103 0.4977 0.2649 (multiplicity 1)  4 O 1.86-1.99
V 0.0278 0.9967 0.4988 (multiplicity 1)  4 O 1.73-1.94
V 0.5128 0.6748 0.9913 (multiplicity 1)  4 O 1.69-1.83
Fe 0.5179 0.1750 0.7123 (multiplicity 1)  4 O 1.93-2.13
O 0.3299 0.0735 0.4955 (multiplicity 1)  1 V 1.73, 1 Fe 1.93
O 0.3445 0.5414 0.1831 (multiplicity 1)  2 V 1.73-1.92
O 0.3643 0.9531 0.9414 (multiplicity 1)  1 V 1.77
O 0.4920 0.5087 0.7901 (multiplicity 1)  1 V 1.69
O 0.8317 0.6925 0.0575 (multiplicity 1)  2 V 1.83-1.99, 1 Mg 2.04
O 0.8733 0.0935 0.7349 (multiplicity 1)  1 V 1.86, 1 Mg 1.97, 1 Fe 1.99
O 0.9334 0.1706 0.2567 (multiplicity 1)  2 V 1.93-1.94, 1 Mg 2.03
O 0.9545 0.6906 0.4797 (multiplicity 1)  2 V 1.82-1.86

(7)
Material: MgV3FeO8
Method: DFT, PBE with a Hubbard U
State: relaxed

Output
**Raw total energy**: -93.5 eV per cell
**Spin magnetization**: 7.0 μB per formula unit
**Formation energy**: -2266 meV per atom

a b c (Å): 5.4094 5.8328 6.6874
angles (deg): 87.10 88.91 89.87
Last column: nearest neighbours and their distance in Å.
Space group P1 (No. 1)
Inequivalent atoms, fractional coordinates:
Mg 0.0000 0.0000 0.0000 (multiplicity 1)  4 O 1.99-2.02
V 0.4870 0.8213 0.2625 (multiplicity 1)  4 O 1.84-2.01
V 0.4938 0.3244 0.9944 (multiplicity 1)  4 O 1.68-1.82
V 0.9837 0.9976 0.5087 (multiplicity 1)  4 O 1.73-1.93
Fe 0.0048 0.5029 0.7167 (multiplicity 1)  4 O 1.94-2.10
O 0.0348 0.2900 0.5035 (multiplicity 1)  1 V 1.73
O 0.0542 0.8347 0.7491 (multiplicity 1)  1 V 1.87, 1 Fe 1.98, 1 Mg 1.99
O 0.1413 0.9008 0.2661 (multiplicity 1)  2 V 1.93, 1 Mg 2.01
O 0.1770 0.2966 0.9392 (multiplicity 1)  1 V 1.77
O 0.5292 0.5131 0.1857 (multiplicity 1)  2 V 1.74-1.91
O 0.6345 0.0465 0.0556 (multiplicity 1)  2 V 1.82-2.01, 1 Mg 2.02
O 0.6424 0.4395 0.7911 (multiplicity 1)  1 V 1.68
O 0.6629 0.9120 0.4775 (multiplicity 1)  2 V 1.83-1.84

(8)
Material: MgV5FeO12
Method: DFT, PBE with a Hubbard U
State: relaxed

Output
**Raw total energy**: -140.7 eV per cell
**Spin magnetization**: 9.0 μB per formula unit
**Formation energy**: -2361 meV per atom

a b c (Å): 5.7021 6.8975 7.2056
angles (deg): 79.41 73.89 70.37
Last column: nearest neighbours and their distance in Å.
Space group P1 (No. 1)
Inequivalent atoms, fractional coordinates:
Mg 0.0000 0.0000 0.0000 (multiplicity 1)  5 O 2.01-2.24
V 0.0198 0.4407 0.1157 (multiplicity 1)  4 O 1.73-1.92
V 0.0549 0.8849 0.5015 (multiplicity 1)  4 O 1.68-1.84
V 0.4981 0.1044 0.3269 (multiplicity 1)  4 O 1.90-2.10
V 0.5029 0.6324 0.9222 (multiplicity 1)  4 O 1.69-1.81
V 0.5406 0.1692 0.8017 (multiplicity 1)  6 O 1.93-2.15
Fe 0.0448 0.3470 0.6309 (multiplicity 1)  5 O 2.04-2.24
O 0.0320 0.6502 0.6023 (multiplicity 1)  1 V 1.68
O 0.1235 0.3166 0.3236 (multiplicity 1)  1 V 1.73
O 0.1421 0.2552 0.9324 (multiplicity 1)  1 V 1.84
O 0.1652 0.6652 0.0233 (multiplicity 1)  2 V 1.81-1.92
O 0.3756 0.8659 0.4032 (multiplicity 1)  2 V 1.74-1.93
O 0.4358 0.2254 0.5595 (multiplicity 1)  2 V 1.90-1.93, 1 Fe 2.05
O 0.4895 0.8806 0.8372 (multiplicity 1)  1 V 1.69
O 0.6191 0.1394 0.0531 (multiplicity 1)  2 V 1.90-1.94, 1 Mg 2.01
O 0.6343 0.4552 0.7505 (multiplicity 1)  1 V 1.74
O 0.6807 0.5551 0.1045 (multiplicity 1)  2 V 1.78-1.85
O 0.8916 0.9728 0.3113 (multiplicity 1)  1 V 1.77
O 0.9370 0.0530 0.6993 (multiplicity 1)  1 V 1.84